Density functional theory data (PBE) for crystalline TiAlAu2 at its relaxed geometry.

Geometry as extended XYZ:
```
4
Lattice="-2.270 0.255 2.080 0.620 -2.847 1.027 4.591 2.688 4.681" Properties=species:S:1:pos:R:3 pbc="T T T"
Au 3.496 2.047 3.565
Au 1.095 0.641 1.117
Al -0.825 -1.296 1.553
Ti 1.471 0.048 3.894
```

Space group: P4/mmm

***

Density functional theory data (PBE) for crystalline TlAuF6 at its relaxed geometry.

Geometry as extended XYZ:
```
64
Lattice="-2.835 -5.163 0.649 4.265 -2.729 -3.078 14.344 -4.838 24.162" Properties=species:S:1:pos:R:3 pbc="T T T"
F 7.792 -5.839 11.028
F -1.620 -3.391 0.302
F 12.665 -7.393 18.822
F 10.239 -6.925 9.377
F 3.430 -7.147 4.925
F 16.930 -6.775 22.219
F 0.087 -5.561 1.170
F 12.924 -8.781 15.823
F 10.507 -5.421 11.836
F 9.502 -5.444 16.168
F 11.851 -4.821 14.253
F 3.323 -4.596 8.499
F 7.345 -5.524 14.337
F 10.285 -7.982 17.531
F 5.530 -8.835 6.102
F 8.363 -8.990 10.058
F 14.551 -6.519 15.291
F 10.638 -7.633 14.804
F 5.021 -5.948 10.316
F 14.993 -8.991 17.514
F 2.931 -4.353 3.213
F 0.239 -1.321 -0.407
F 0.810 -4.471 -1.376
F 4.281 -6.614 2.210
F 12.621 -10.646 21.041
F 2.532 -3.522 0.534
F 1.224 -6.210 6.442
F 10.813 -9.279 22.782
F 5.546 -3.277 6.799
F 5.918 -8.000 14.294
F 12.220 -10.124 18.288
F 2.867 -3.954 5.937
F 12.328 -5.577 16.780
F 13.039 -8.085 21.544
F 5.315 -6.080 6.626
F 12.583 -4.683 19.569
F 2.063 -1.821 4.080
F 6.000 -8.367 11.566
F 3.798 -5.644 -0.404
F 8.408 -7.577 13.056
F 7.784 -3.646 8.492
F 15.934 -8.529 20.143
F 11.373 -10.120 13.715
F 7.570 -6.275 8.331
F 1.382 -7.051 3.199
F 4.890 -3.054 -0.928
F 5.489 -4.748 4.202
F 9.928 -5.126 7.316
Au 6.531 -4.825 7.523
Au 9.550 -10.346 13.036
Au 7.386 -8.795 6.723
Au 12.615 -9.042 19.890
Au 2.424 -1.102 2.295
Au 12.189 -5.216 21.411
Au 9.000 -6.563 14.623
Au 3.403 -5.030 1.430
Tl 2.878 -4.071 -1.977
Tl 9.342 -4.999 9.729
Tl 6.191 -6.397 12.414
Tl 5.485 -6.964 4.308
Tl 10.756 -5.923 18.210
Tl 10.991 -9.637 16.233
Tl 4.317 -2.936 4.714
Tl 13.138 -9.992 23.299
```

Space group: P4_12_12

***

Density functional theory data (PBE) for crystalline K2ScTlF6 at its relaxed geometry.

Geometry as extended XYZ:
```
10
Lattice="0.000 4.674 4.674 4.674 0.000 4.674 4.674 4.674 0.000" Properties=species:S:1:pos:R:3 pbc="T T T"
K 7.010 7.010 7.010
K 2.337 2.337 2.337
F 4.674 7.315 4.674
F 4.674 2.032 4.674
F 4.674 4.674 2.032
F 2.032 4.674 4.674
F 4.674 4.674 7.315
F 7.315 4.674 4.674
Tl 4.674 4.674 4.674
Sc 0.000 0.000 0.000
```

Space group: Fm-3m

***

Density functional theory data (PBE) for crystalline Ca2CdH24Cl6O12 at its relaxed geometry.

Geometry as extended XYZ:
```
90
Lattice="-0.608 -10.217 -0.663 2.578 0.394 -8.448 12.643 -0.656 -1.486" Properties=species:S:1:pos:R:3 pbc="T T T"
Ca 4.729 -9.956 -3.387
Ca 11.308 -5.973 -3.851
Ca 9.885 -0.523 -7.210
Ca 3.306 -4.505 -6.747
O 3.126 -8.321 -2.602
O 6.261 -1.123 -4.494
O 12.401 -4.492 -5.434
O 9.318 -5.097 -5.121
O 4.151 -1.634 -1.886
O 3.267 -0.203 -4.082
O 9.721 -2.085 -5.370
O 7.217 -0.974 -1.636
O 11.347 -10.275 -6.515
O 5.098 -2.984 -7.327
O 3.314 -3.184 -4.719
O 11.300 -7.294 -5.878
O 11.488 -2.157 -7.995
O 7.397 -9.504 -8.961
O 4.893 -8.393 -5.228
O 9.516 -7.494 -3.270
O 0.668 -4.463 -1.141
O 10.347 -4.075 -2.767
O 8.354 -9.355 -6.103
O 10.463 -8.844 -8.711
O 4.267 -6.403 -7.831
O 2.213 -5.987 -5.163
O 13.946 -6.015 -9.457
O 5.297 -5.381 -5.476
H 4.981 -2.009 -7.407
H 10.750 -3.592 -2.002
H 6.363 -2.089 -4.308
H 10.126 -8.223 -9.405
H 12.102 -0.663 -5.089
H 13.045 -5.677 -9.218
H 4.488 -2.255 -1.193
H 12.359 -4.458 -6.409
H 6.059 -3.127 -7.509
H 11.257 -6.946 -6.792
H 8.470 -5.074 -4.625
H 3.864 -6.886 -8.596
H 11.349 -8.273 -5.954
H 12.195 -10.289 -7.011
H 8.153 -0.717 -1.837
H 8.392 -9.452 -5.133
H 12.461 -2.107 -8.165
H 2.255 -6.020 -4.189
H 9.556 -3.053 -5.421
H 2.419 -0.189 -3.587
H 3.358 -3.532 -3.805
H 6.461 -9.761 -8.761
H 3.265 -2.205 -4.644
H 4.816 -8.613 -6.178
H 0.755 -3.487 -1.246
H 3.172 -1.628 -1.821
H 9.798 -1.865 -4.419
H 6.222 -1.026 -5.464
H 13.859 -6.992 -9.351
H 8.251 -8.390 -6.289
H 5.058 -7.425 -5.177
H 11.442 -8.850 -8.777
H 2.153 -8.372 -2.432
H 7.189 -1.932 -1.868
H 2.512 -9.815 -5.508
H 3.357 -7.385 -2.398
H 1.998 -6.901 -5.471
H 5.241 -6.505 -7.903
H 9.634 -8.469 -3.190
H 1.569 -4.801 -1.380
H 5.509 -4.902 -4.642
H 9.105 -5.576 -5.955
H 7.425 -8.546 -8.730
H 9.373 -3.974 -2.695
H 12.616 -3.577 -5.127
H 8.555 -7.351 -3.088
H 11.257 -3.093 -8.199
H 6.144 -5.404 -5.972
Cl 3.569 -5.207 -2.160
Cl 13.728 -9.126 -8.441
Cl 7.540 -6.547 -7.552
Cl 10.193 -0.453 -2.573
Cl 14.510 -2.559 -8.747
Cl 6.462 -7.630 -2.553
Cl 0.104 -7.919 -1.850
Cl 8.152 -2.848 -8.044
Cl 4.421 -10.025 -8.024
Cl 11.045 -5.271 -8.438
Cl 7.074 -3.932 -3.046
Cl 0.886 -1.353 -2.157
Cd 0.000 0.000 0.000
Cd 6.018 -5.436 -1.074
```

Space group: P2_1/c

***

Density functional theory data (PBE) for crystalline Na4Y2Ir3O12 at its relaxed geometry.

Geometry as extended XYZ:
```
21
Lattice="4.740 -8.210 0.000 4.740 8.210 0.000 0.000 0.000 3.209" Properties=species:S:1:pos:R:3 pbc="T T T"
O 0.933 -1.616 1.604
O 2.164 3.748 1.604
O 5.153 0.000 1.604
O 4.616 4.434 0.000
O 6.272 -1.995 0.000
O 3.332 1.781 0.000
O 4.616 -4.434 0.000
O 0.933 1.616 1.604
O 7.614 0.000 1.604
O 3.332 -1.781 0.000
O 6.272 1.995 0.000
O 2.164 -3.748 1.604
Na 2.858 0.000 1.604
Na 3.311 5.735 1.604
Na 0.000 0.000 0.000
Na 3.311 -5.735 1.604
Y 4.740 2.737 1.604
Y 4.740 -2.737 1.604
Ir 1.565 -2.711 0.000
Ir 6.350 0.000 0.000
Ir 1.565 2.711 0.000
```

Space group: P-62m

***

The evaluated E_form for the records listed, in turn: -0.40, -1.73, -3.30, -1.39, -2.10 eV/atom.
The evaluated total energy for the records listed, in turn: -4.948, -3.523, -5.259, -4.696, -6.666 eV/atom.